A plane-wave DFT calculation with GGA+U was carried out for crystalline MgMn2Se4O12 at its relaxed geometry.

Properties
E above lowest polymorph in meV per atom: 4
Crystal system: triclinic

Unit cell a=5.211 b=6.593 c=8.368 alpha=82.23 beta=85.70 gamma=89.52
Space group P1 (No. 1)
One atom of each set of equivalent atoms:
Mg 0.000 0.000 0.000
Mn 0.499 0.000 0.500
Mn 0.999 0.500 0.000
Se 0.027 0.189 0.328
Se 0.483 0.282 0.824
Se 0.516 0.718 0.177
Se 0.971 0.810 0.673
O 0.053 0.569 0.767
O 0.195 0.827 0.506
O 0.237 0.267 0.992
O 0.251 0.776 0.067
O 0.302 0.245 0.416
O 0.398 0.060 0.760
O 0.600 0.940 0.241
O 0.696 0.755 0.585
O 0.748 0.224 0.933
O 0.762 0.733 0.009
O 0.804 0.172 0.495
O 0.945 0.431 0.234

***

A plane-wave DFT calculation with GGA+U was carried out for crystalline MgMn2Se4O12 at its relaxed geometry.

Properties
E above lowest polymorph in meV per atom: 0
Crystal system: triclinic

Unit cell a=5.445 b=6.895 c=7.892 alpha=91.30 beta=93.25 gamma=96.24
Space group P1 (No. 1)
One atom of each set of equivalent atoms:
Mg 0.000 0.000 0.000
Mn 0.015 0.236 0.365
Mn 0.546 0.719 0.851
Se 0.039 0.893 0.647
Se 0.059 0.522 0.046
Se 0.522 0.061 0.166
Se 0.551 0.403 0.544
O 0.114 0.127 0.582
O 0.236 0.951 0.208
O 0.241 0.908 0.829
O 0.332 0.499 0.948
O 0.335 0.382 0.365
O 0.478 0.630 0.619
O 0.662 0.864 0.072
O 0.703 0.061 0.355
O 0.787 0.940 0.768
O 0.813 0.467 0.441
O 0.853 0.540 0.879
O 0.985 0.271 0.106

***

A plane-wave DFT calculation with GGA+U was carried out for crystalline MgMn4Si8O22 at its relaxed geometry.

Properties
E above lowest polymorph in meV per atom: 113
Crystal system: triclinic

Unit cell a=7.256 b=7.902 c=8.916 alpha=98.64 beta=105.40 gamma=107.63
Space group P-1 (No. 2)
One atom of each set of equivalent atoms:
Mg 0.000 0.000 0.000
Mn 0.119 0.409 0.140
Mn 0.353 0.623 0.902
Si 0.036 0.770 0.285
Si 0.246 0.388 0.540
Si 0.254 0.026 0.862
Si 0.470 0.790 0.294
O 0.033 0.069 0.792
O 0.033 0.249 0.560
O 0.079 0.420 0.865
O 0.154 0.841 0.919
O 0.201 0.430 0.369
O 0.282 0.841 0.330
O 0.339 0.571 0.691
O 0.371 0.192 0.028
O 0.377 0.624 0.127
O 0.382 0.024 0.739
O 0.397 0.265 0.560

***

A plane-wave DFT calculation with GGA+U was carried out for crystalline MgMnSi2O6 at its relaxed geometry.

Properties
E above lowest polymorph in meV per atom: 0
Crystal system: orthorhombic

Unit cell a=5.335 b=18.664 c=9.097 alpha=90.00 beta=90.00 gamma=90.00
Space group Pbca (No. 61)
One atom of each set of equivalent atoms:
Mg 0.116 0.125 0.151
Mn 0.119 0.123 0.516
Si 0.060 0.729 0.661
Si 0.208 0.024 0.837
O 0.056 0.684 0.165
O 0.056 0.690 0.503
O 0.080 0.551 0.712
O 0.170 0.199 0.732
O 0.208 0.564 0.336
O 0.214 0.564 0.987

***

A plane-wave DFT calculation with GGA+U was carried out for crystalline MgMn2Si4O12 at its relaxed geometry.

Properties
E above lowest polymorph in meV per atom: 130
Crystal system: monoclinic

Unit cell a=10.699 b=8.781 c=5.275 alpha=90.00 beta=111.01 gamma=90.00
Space group C2 (No. 5)
One atom of each set of equivalent atoms:
Mg 0.000 0.000 0.000
Mn 0.000 0.330 0.000
Mn 0.000 0.537 0.500
Si 0.227 0.818 0.512
Si 0.234 0.013 0.005
O 0.103 0.512 0.883
O 0.108 0.334 0.380
O 0.131 0.156 0.961
O 0.155 0.656 0.471
O 0.174 0.923 0.713
O 0.175 0.902 0.204

***

A plane-wave DFT calculation with GGA+U was carried out for crystalline MgMn4Si8O22 at its relaxed geometry.

Properties
E above lowest polymorph in meV per atom: 43
Crystal system: triclinic

Unit cell a=7.152 b=7.753 c=8.752 alpha=99.98 beta=101.81 gamma=108.50
Space group P-1 (No. 2)
One atom of each set of equivalent atoms:
Mg 0.000 0.000 0.000
Mn 0.148 0.842 0.624
Mn 0.346 0.120 0.401
Si 0.031 0.297 0.762
Si 0.242 0.518 0.395
Si 0.257 0.854 0.041
Si 0.465 0.296 0.778
O 0.021 0.537 0.309
O 0.036 0.723 0.070
O 0.092 0.903 0.376
O 0.175 0.900 0.871
O 0.182 0.311 0.430
O 0.277 0.350 0.817
O 0.302 0.057 0.170
O 0.363 0.704 0.551
O 0.377 0.527 0.263
O 0.392 0.107 0.629
O 0.421 0.752 0.060

***

A plane-wave DFT calculation with GGA+U was carried out for crystalline Mg6MnSiO8 at its relaxed geometry.

Properties
E above lowest polymorph in meV per atom: 8
Crystal system: tetragonal

Unit cell a=4.360 b=4.360 c=8.690 alpha=90.00 beta=90.00 gamma=90.00
Space group P4/mmm (No. 123)
One atom of each set of equivalent atoms:
Mg 0.000 0.000 0.000
Mg 0.000 0.000 0.500
Mg 0.000 0.500 0.249
Mn 0.500 0.500 0.000
Si 0.500 0.500 0.500
O 0.000 0.000 0.250
O 0.000 0.500 0.000
O 0.000 0.500 0.500
O 0.500 0.500 0.247

***

A plane-wave DFT calculation with GGA+U was carried out for crystalline MgMnSi2O6 at its relaxed geometry.

Properties
E above lowest polymorph in meV per atom: 23
Crystal system: monoclinic

Unit cell a=10.112 b=9.337 c=5.474 alpha=90.00 beta=111.59 gamma=90.00
Space group C2/c (No. 15)
One atom of each set of equivalent atoms:
Mg 0.000 0.242 0.250
Mn 0.000 0.105 0.750
Si 0.202 0.414 0.710
O 0.119 0.263 0.628
O 0.124 0.093 0.168
O 0.150 0.497 0.927

***

A plane-wave DFT calculation with GGA+U was carried out for crystalline MgMn4Si8O22 at its relaxed geometry.

Properties
E above lowest polymorph in meV per atom: 103
Crystal system: triclinic

Unit cell a=7.166 b=8.255 c=8.764 alpha=98.99 beta=102.98 gamma=109.71
Space group P-1 (No. 2)
One atom of each set of equivalent atoms:
Mg 0.000 0.000 0.000
Mn 0.119 0.418 0.110
Mn 0.379 0.650 0.885
Si 0.009 0.241 0.719
Si 0.273 0.612 0.475
Si 0.306 0.950 0.129
Si 0.446 0.245 0.713
O 0.077 0.414 0.876
O 0.120 0.935 0.221
O 0.137 0.739 0.440
O 0.164 0.791 0.958
O 0.168 0.429 0.327
O 0.202 0.196 0.691
O 0.295 0.573 0.648
O 0.327 0.134 0.075
O 0.408 0.581 0.130
O 0.493 0.074 0.767
O 0.499 0.268 0.547

***

A plane-wave DFT calculation with GGA+U was carried out for crystalline MgMnSi4O10 at its relaxed geometry.

Properties
Crystal system: tetragonal

Unit cell a=7.393 b=7.393 c=14.880 alpha=90.00 beta=90.00 gamma=90.00
Space group P4/ncc (No. 130, origin choice 2)
One atom of each set of equivalent atoms:
Mg 0.250 0.750 0.000
Mn 0.250 0.250 0.063
Si 0.009 0.592 0.145
O 0.005 0.190 0.874
O 0.024 0.663 0.425
O 0.057 0.557 0.250

***

Energy relative to the elements (eV per atom)
-1.6084, -1.6124, -2.7818, -3.0149, -2.7287, -2.8520, -2.5813, -2.9921, -2.7915, -3.0468
Spin magnetization (μB per atom)
0.4211, 0.4211, 0.5143, 0.5000, 0.4211, 0.5143, 0.3107, 0.0000, 0.5143, 0.3120